First-principles (GGA-PBE) data for a relaxed Ho7Cu5Sb crystal, as listed in Materials Project.

Computed properties:
Energy relative to the elements, eV per formula unit: -0.57
E_tot, eV for the cell shown: -57.078
SG: No. 99

a = 4.3327 Å, b = 4.3327 Å, c = 16.1921 Å
α = 90.00°, β = 90.00°, γ = 90.00°
Last column: nearest neighbours and their distance in Å.
Fractional positions:
Ho (0.0000, 0.0000, 0.0000)  1 Cu 2.70
Ho (0.0000, 0.0000, 0.1993)  4 Cu 2.75
Ho (0.0000, 0.0000, 0.4428)  4 Sb 3.12, 4 Cu 3.13, 1 Ho 3.39
Ho (0.0000, 0.0000, 0.6520)  5 Cu 2.73-2.94
Ho (0.5000, 0.5000, 0.1316)  4 Ho 3.25, 4 Cu 3.53
Ho (0.5000, 0.5000, 0.6039)  4 Ho 3.16, 1 Sb 3.22, 4 Cu 3.27
Ho (0.5000, 0.5000, 0.8764)  8 Cu 2.93-3.14
Cu (0.0000, 0.0000, 0.8335)  4 Cu 2.51, 1 Ho 2.70
Cu (0.0000, 0.5000, 0.3036)  2 Sb 2.72, 2 Ho 2.75
Cu (0.0000, 0.5000, 0.7549)  2 Cu 2.51, 2 Ho 2.73
Cu (0.5000, 0.0000, 0.3036)  2 Sb 2.72, 2 Ho 2.75
Cu (0.5000, 0.0000, 0.7549)  2 Cu 2.51, 2 Ho 2.73
Sb (0.5000, 0.5000, 0.4048)  4 Cu 2.72